Entry 1:
First-principles (GGA-PBE) data for crystalline K2CoI4 at its relaxed geometry, as listed in Materials Project.

Values from the calculation:
Final energy: -3.086 eV per atom

Structure (CIF):
```
data_K2CoI4
_space_group_name_H-M_alt 'P 1 21/m 1'
_space_group_IT_number 11
_cell_length_a 7.888
_cell_length_b 8.184
_cell_length_c 9.827
_cell_angle_alpha 90.00
_cell_angle_beta 108.22
_cell_angle_gamma 90.00
loop_
_space_group_symop_operation_xyz
'x,y,z'
'-x,-y,-z'
'-x,y+1/2,-z'
'x,-y+1/2,z'
loop_
_atom_site_label
_atom_site_fract_x
_atom_site_fract_y
_atom_site_fract_z
_atom_site_occupancy
K1 0.218 0.250 0.052 1
K2 0.266 0.250 0.568 1
Co1 0.222 0.750 0.799 1
I1 0.008 0.502 0.740 1
I2 0.396 0.750 0.070 1
I3 0.416 0.750 0.629 1
```

Entry 2:
First-principles (GGA-PBE) data for crystalline Na4La31Co5I60 at its relaxed geometry, as listed in Materials Project.

Values from the calculation:
Total magnetic moment: 8.007 μB per formula unit
Final energy: -4.181 eV per atom

Structure (CIF):
```
data_Na4La31Co5I60
_space_group_name_H-M_alt 'P -1'
_space_group_IT_number 2
_cell_length_a 10.075
_cell_length_b 10.136
_cell_length_c 43.734
_cell_angle_alpha 90.73
_cell_angle_beta 91.03
_cell_angle_gamma 107.28
loop_
_space_group_symop_operation_xyz
'x,y,z'
'-x,-y,-z'
loop_
_atom_site_label
_atom_site_fract_x
_atom_site_fract_y
_atom_site_fract_z
_atom_site_occupancy
Na1 0.100 0.100 0.200 1
Na2 0.300 0.300 0.600 1
La1 0.010 0.726 0.479 1
La2 0.019 0.090 0.440 1
La3 0.098 0.893 0.107 1
La4 0.110 0.311 0.294 1
La5 0.178 0.106 0.960 1
La6 0.188 0.459 0.920 1
La7 0.208 0.937 0.879 1
La8 0.218 0.290 0.838 1
La9 0.291 0.090 0.506 1
La10 0.310 0.511 0.694 1
La11 0.381 0.310 0.360 1
La12 0.390 0.674 0.321 1
La13 0.410 0.126 0.278 1
La14 0.419 0.490 0.240 1
La15 0.494 0.290 0.905 1
La16 0.500 0.500 0.000 1
Co1 0.000 0.000 0.500 1
Co2 0.199 0.199 0.900 1
Co3 0.400 0.400 0.300 1
I1 0.018 0.408 0.455 1
I2 0.032 0.804 0.408 1
I3 0.046 0.200 0.364 1
I4 0.052 0.597 0.314 1
I5 0.080 0.001 0.270 1
I6 0.092 0.400 0.224 1
I7 0.110 0.800 0.177 1
I8 0.122 0.201 0.130 1
I9 0.149 0.604 0.085 1
I10 0.155 0.999 0.036 1
I11 0.167 0.400 0.994 1
I12 0.184 0.791 0.945 1
I13 0.220 0.609 0.855 1
I14 0.232 0.003 0.808 1
I15 0.247 0.400 0.763 1
I16 0.252 0.797 0.714 1
I17 0.280 0.201 0.670 1
I18 0.292 0.600 0.624 1
I19 0.308 0.000 0.576 1
I20 0.320 0.399 0.530 1
I21 0.348 0.803 0.486 1
I22 0.354 0.200 0.436 1
I23 0.368 0.596 0.392 1
I24 0.382 0.992 0.345 1
I25 0.418 0.808 0.255 1
I26 0.432 0.204 0.208 1
I27 0.445 0.599 0.164 1
I28 0.453 0.998 0.114 1
I29 0.473 0.393 0.069 1
I30 0.486 0.800 0.022 1
```

Entry 3:
First-principles (GGA-PBE) data for crystalline Rb2La10Co2I17 at its relaxed geometry, as listed in Materials Project.

Values from the calculation:
Total magnetic moment: 0.988 μB per formula unit
Final energy: -4.234 eV per atom

Structure (CIF):
```
data_Rb2La10Co2I17
_space_group_name_H-M_alt 'C 1 2/m 1'
_space_group_IT_number 12
_cell_length_a 13.983
_cell_length_b 19.259
_cell_length_c 10.006
_cell_angle_alpha 90.00
_cell_angle_beta 95.54
_cell_angle_gamma 90.00
loop_
_space_group_symop_operation_xyz
'x,y,z'
'-x,-y,-z'
'-x,y,-z'
'x,-y,z'
'x+1/2,y+1/2,z'
'-x+1/2,-y+1/2,-z'
'-x+1/2,y+1/2,-z'
'x+1/2,-y+1/2,z'
loop_
_atom_site_label
_atom_site_fract_x
_atom_site_fract_y
_atom_site_fract_z
_atom_site_occupancy
Rb1 0.000 0.175 0.000 1
La1 0.061 0.500 0.668 1
La2 0.143 0.350 0.427 1
La3 0.171 0.000 0.442 1
La4 0.204 0.500 0.188 1
Co1 0.145 0.500 0.429 1
I1 0.000 0.500 0.000 1
I2 0.062 0.000 0.719 1
I3 0.073 0.326 0.728 1
I4 0.141 0.169 0.420 1
I5 0.212 0.000 0.130 1
I6 0.218 0.333 0.137 1
```

Entry 4:
First-principles (GGA-PBE) data for crystalline CoI7N6 at its relaxed geometry, as listed in Materials Project.

Values from the calculation:
Total magnetic moment: 2.784 μB per formula unit
Final energy: -3.527 eV per atom

Structure (CIF):
```
data_CoI7N6
_space_group_name_H-M_alt 'C 1 2/m 1'
_space_group_IT_number 12
_cell_length_a 15.920
_cell_length_b 5.324
_cell_length_c 11.535
_cell_angle_alpha 90.00
_cell_angle_beta 121.56
_cell_angle_gamma 90.00
loop_
_space_group_symop_operation_xyz
'x,y,z'
'-x,-y,-z'
'-x,y,-z'
'x,-y,z'
'x+1/2,y+1/2,z'
'-x+1/2,-y+1/2,-z'
'-x+1/2,y+1/2,-z'
'x+1/2,-y+1/2,z'
loop_
_atom_site_label
_atom_site_fract_x
_atom_site_fract_y
_atom_site_fract_z
_atom_site_occupancy
Co1 0.000 0.000 0.000 1
I1 0.000 0.500 0.500 1
I2 0.081 0.500 0.200 1
I3 0.136 0.000 0.575 1
I4 0.234 0.000 0.084 1
N1 0.028 0.247 0.905 1
N2 0.134 0.000 0.136 1
```

Entry 5:
First-principles (GGA-PBE) data for crystalline Nd2Co2I at its relaxed geometry, as listed in Materials Project.

Values from the calculation:
Final energy: -5.627 eV per atom

Structure (CIF):
```
data_Nd2Co2I
_space_group_name_H-M_alt 'P 63/m m c'
_space_group_IT_number 194
_space_group_name_Hall '-P 6c 2c'
_cell_length_a 3.9860
_cell_length_b 3.9860
_cell_length_c 17.5802
_cell_angle_alpha 90.00
_cell_angle_beta 90.00
_cell_angle_gamma 120.00
loop_
_atom_site_label
_atom_site_fract_x
_atom_site_fract_y
_atom_site_fract_z
_atom_site_occupancy
Nd1 0.0000 0.0000 0.1047 1
Co1 0.3333 0.6667 0.9998 1
I1 0.3333 0.6667 0.2500 1
```

Entry 6:
First-principles (GGA-PBE) data for crystalline Pr7CoI12 at its relaxed geometry, as listed in Materials Project.

Values from the calculation:
Final energy: -4.188 eV per atom

Structure (CIF):
```
data_Pr7CoI12
_space_group_name_H-M_alt 'R -3'
_space_group_IT_number 148
_space_group_name_Hall '-R 3'
_cell_length_a 16.1659
_cell_length_b 16.1659
_cell_length_c 11.1768
_cell_angle_alpha 90.00
_cell_angle_beta 90.00
_cell_angle_gamma 120.00
loop_
_atom_site_label
_atom_site_fract_x
_atom_site_fract_y
_atom_site_fract_z
_atom_site_occupancy
Pr1 0.0000 0.0000 0.0000 1
Pr2 0.0433 0.8856 0.3587 1
Co1 0.0000 0.0000 0.5000 1
I1 0.0207 0.4338 0.1616 1
I2 0.0505 0.8698 0.8389 1
```

Entry 7:
First-principles (GGA-PBE) data for crystalline Rb2CoI4 at its relaxed geometry, as listed in Materials Project.

Values from the calculation:
Final energy: -3.076 eV per atom

Structure (CIF):
```
data_Rb2CoI4
_space_group_name_H-M_alt 'P 1 21/m 1'
_space_group_IT_number 11
_cell_length_a 7.823
_cell_length_b 8.260
_cell_length_c 10.551
_cell_angle_alpha 90.00
_cell_angle_beta 109.40
_cell_angle_gamma 90.00
loop_
_space_group_symop_operation_xyz
'x,y,z'
'-x,-y,-z'
'-x,y+1/2,-z'
'x,-y+1/2,z'
loop_
_atom_site_label
_atom_site_fract_x
_atom_site_fract_y
_atom_site_fract_z
_atom_site_occupancy
Rb1 0.200 0.250 0.038 1
Rb2 0.297 0.250 0.586 1
Co1 0.197 0.750 0.786 1
I1 0.015 0.001 0.277 1
I2 0.360 0.750 0.044 1
I3 0.413 0.750 0.647 1
```

Entry 8:
First-principles (GGA-PBE) data for crystalline CoSI at its relaxed geometry, as listed in Materials Project.

Values from the calculation:
Total magnetic moment: 2.011 μB per formula unit
Final energy: -3.784 eV per atom
ΔE to the lowest computed polymorph: 558 meV per atom

Structure (CIF):
```
data_CoSI
_space_group_name_H-M_alt 'F -4 3 m'
_space_group_IT_number 216
_space_group_name_Hall 'F -4 2 3'
_cell_length_a 6.288
_cell_length_b 6.288
_cell_length_c 6.288
_cell_angle_alpha 90.00
_cell_angle_beta 90.00
_cell_angle_gamma 90.00
loop_
_atom_site_label
_atom_site_fract_x
_atom_site_fract_y
_atom_site_fract_z
_atom_site_occupancy
Co1 0.000 0.000 0.000 1
S1 0.250 0.250 0.250 1
I1 0.250 0.250 0.750 1
```

Entry 9:
First-principles (GGA-PBE) data for crystalline CoSI at its relaxed geometry, as listed in Materials Project.

Values from the calculation:
Total magnetic moment: 0.000 μB per formula unit
Final energy: -4.342 eV per atom
ΔE to the lowest computed polymorph: 0 meV per atom

Structure (CIF):
```
data_CoSI
_space_group_name_H-M_alt 'C 1 m 1'
_space_group_IT_number 8
_cell_length_a 6.150
_cell_length_b 3.549
_cell_length_c 6.117
_cell_angle_alpha 90.00
_cell_angle_beta 103.67
_cell_angle_gamma 90.00
loop_
_space_group_symop_operation_xyz
'x,y,z'
'x,-y,z'
'x+1/2,y+1/2,z'
'x+1/2,-y+1/2,z'
loop_
_atom_site_label
_atom_site_fract_x
_atom_site_fract_y
_atom_site_fract_z
_atom_site_occupancy
Co1 0.000 0.000 0.000 1
S1 0.208 0.500 0.176 1
I1 0.272 0.000 0.728 1
```

Entry 10:
First-principles (GGA-PBE) data for crystalline Tl2CoI4 at its relaxed geometry, as listed in Materials Project.

Values from the calculation:
Final energy: -2.975 eV per atom

Structure (CIF):
```
data_Tl2CoI4
_space_group_name_H-M_alt 'P 1 21/m 1'
_space_group_IT_number 11
_cell_length_a 7.770
_cell_length_b 8.105
_cell_length_c 9.740
_cell_angle_alpha 90.00
_cell_angle_beta 108.40
_cell_angle_gamma 90.00
loop_
_space_group_symop_operation_xyz
'x,y,z'
'-x,-y,-z'
'-x,y+1/2,-z'
'x,-y+1/2,z'
loop_
_atom_site_label
_atom_site_fract_x
_atom_site_fract_y
_atom_site_fract_z
_atom_site_occupancy
Tl1 0.219 0.250 0.051 1
Tl2 0.263 0.250 0.568 1
Co1 0.221 0.750 0.799 1
I1 0.006 0.501 0.737 1
I2 0.399 0.750 0.071 1
I3 0.418 0.750 0.629 1
```

Entry 11:
First-principles (GGA-PBE) data for crystalline Y2Co2I at its relaxed geometry, as listed in Materials Project.

Values from the calculation:
Final energy: -6.322 eV per atom

Structure (CIF):
```
data_Y2Co2I
_space_group_name_H-M_alt 'P 63/m m c'
_space_group_IT_number 194
_space_group_name_Hall '-P 6c 2c'
_cell_length_a 3.9552
_cell_length_b 3.9552
_cell_length_c 16.9952
_cell_angle_alpha 90.00
_cell_angle_beta 90.00
_cell_angle_gamma 120.00
loop_
_atom_site_label
_atom_site_fract_x
_atom_site_fract_y
_atom_site_fract_z
_atom_site_occupancy
Y1 0.0000 0.0000 0.1035 1
Co1 0.3333 0.6667 0.0018 1
I1 0.3333 0.6667 0.7500 1
```

Entry 12:
First-principles (GGA-PBE) data for crystalline Y6CoI10 at its relaxed geometry, as listed in Materials Project.

Values from the calculation:
Final energy: -4.804 eV per atom

Structure (CIF):
```
data_Y6CoI10
_space_group_name_H-M_alt 'P -1'
_space_group_IT_number 2
_cell_length_a 7.728
_cell_length_b 9.628
_cell_length_c 9.742
_cell_angle_alpha 107.40
_cell_angle_beta 97.03
_cell_angle_gamma 104.72
loop_
_space_group_symop_operation_xyz
'x,y,z'
'-x,-y,-z'
loop_
_atom_site_label
_atom_site_fract_x
_atom_site_fract_y
_atom_site_fract_z
_atom_site_occupancy
Y1 0.030 0.228 0.419 1
Y2 0.112 0.541 0.262 1
Y3 0.347 0.624 0.665 1
Co1 0.000 0.500 0.500 1
I1 0.086 0.872 0.321 1
I2 0.217 0.239 0.153 1
I3 0.261 0.589 0.963 1
I4 0.353 0.954 0.773 1
I5 0.453 0.313 0.592 1
```

no.,formation energy (meV/atom)
1,-1099
2,-1556
3,-1492
4,1161
5,-647
6,-1472
7,-1126
8,179
9,-380
10,-630
11,-663
12,-1430